Record 1
This record from the Materials Project describes an optimized crystal structure of V3As2O9. The functional is PBE with a Hubbard U.

Unit cell a=9.072 b=9.072 c=4.785 alpha=90.00 beta=90.00 gamma=90.00
Element x y z (fractional)
V 0.000 0.000 0.000
V 0.117 0.383 0.925
V 0.383 0.883 0.925
V 0.500 0.500 0.000
V 0.617 0.117 0.925
V 0.883 0.617 0.925
As 0.200 0.700 0.279
As 0.300 0.200 0.279
As 0.700 0.800 0.279
As 0.800 0.300 0.279
O 0.000 0.000 0.660
O 0.097 0.597 0.011
O 0.120 0.182 0.100
O 0.129 0.371 0.582
O 0.182 0.880 0.100
O 0.318 0.380 0.100
O 0.371 0.871 0.582
O 0.380 0.682 0.100
O 0.403 0.097 0.011
O 0.500 0.500 0.660
O 0.597 0.903 0.011
O 0.620 0.318 0.100
O 0.629 0.129 0.582
O 0.682 0.620 0.100
O 0.818 0.120 0.100
O 0.871 0.629 0.582
O 0.880 0.818 0.100
O 0.903 0.403 0.011

Properties
Calculated formation energy = -30.06 eV per formula unit
Space group = P4bm (100)
Mass density = 3.77 g/cm³
Energy above the lowest structure with this stoichiometry = 9.5 meV per atom
Raw total energy = -199.8 eV for the cell shown

Record 2
This record from the Materials Project describes an optimized crystal structure of NdCrTeO6. The functional is PBE with a Hubbard U.

Unit cell a=5.550 b=5.550 c=8.491 alpha=90.00 beta=90.00 gamma=120.00
Element x y z (fractional)
Nd 0.333 0.667 0.250
Nd 0.667 0.333 0.750
Cr 0.000 0.000 0.000
Cr 0.000 0.000 0.500
Te 0.333 0.667 0.750
Te 0.667 0.333 0.250
O 0.057 0.358 0.880
O 0.057 0.699 0.620
O 0.301 0.358 0.620
O 0.301 0.943 0.880
O 0.358 0.057 0.380
O 0.358 0.301 0.120
O 0.642 0.699 0.880
O 0.642 0.943 0.620
O 0.699 0.057 0.120
O 0.699 0.642 0.380
O 0.943 0.301 0.380
O 0.943 0.642 0.120

Properties
Calculated formation energy = -19.71 eV per formula unit
Space group = P-31c (163)
Mass density = 6.16 g/cm³
Energy above the lowest structure with this stoichiometry = 324.8 meV per atom
Raw total energy = -121.7 eV for the cell shown

Record 3
This record from the Materials Project describes an optimized crystal structure of LiCo3OF5. The functional is PBE with a Hubbard U.

Unit cell a=5.234 b=5.268 c=5.569 alpha=117.02 beta=90.79 gamma=119.43
Element x y z (fractional)
Li 0.000 0.000 0.000
Co 0.260 0.579 0.864
Co 0.452 0.959 0.498
Co 0.789 0.574 0.400
O 0.167 0.765 0.675
F 0.053 0.770 0.177
F 0.391 0.479 0.190
F 0.542 0.442 0.669
F 0.667 0.064 0.189
F 0.873 0.092 0.701

Properties
Calculated formation energy = -22.17 eV per formula unit
Space group = P1 (1)
Mass density = 4.31 g/cm³
Energy above the lowest structure with this stoichiometry = 0.0 meV per atom
Raw total energy = -52.0 eV for the cell shown